No. 1
DFT (PBE) results for a geometry-optimized Mg2AsO5 structure.

Cell: 8.4210 8.4617 6.1702 Å, 90.00 90.00 90.00°
Space group Pnnm (No. 58)
Symmetry-distinct sites (fractional):
Mg 0.0000 0.0000 0.2470 [4 per cell]
Mg 0.1291 0.3561 0.5000 [4 per cell]
As 0.2485 0.2442 0.0000 [4 per cell]
O 0.1106 0.5976 0.5000 [4 per cell]
O 0.1297 0.2232 0.2250 [8 per cell]
O 0.1415 0.9160 0.0000 [4 per cell]
O 0.1427 0.9167 0.5000 [4 per cell]

Results
Total magnetization (μB/f.u.): 1.00
Energy of formation (eV per atom): -2.31


No. 2
DFT (PBE) results for a geometry-optimized Mg3Sn3As4O16 structure.

Cell: 9.1849 5.5476 17.8099 Å, 90.00 120.69 90.00°
Space group P2_1/c (No. 14)
Symmetry-distinct sites (fractional):
Mg 0.0000 0.0000 0.0000 [2 per cell]
Mg 0.3249 0.0657 0.2787 [4 per cell]
Sn 0.1699 0.0411 0.8647 [4 per cell]
Sn 0.5000 0.0000 0.5000 [2 per cell]
As 0.0178 0.0060 0.6332 [4 per cell]
As 0.4363 0.0402 0.1202 [4 per cell]
O 0.0074 0.6873 0.9473 [4 per cell]
O 0.0758 0.7075 0.6333 [4 per cell]
O 0.1486 0.1573 0.7308 [4 per cell]
O 0.1761 0.0520 0.3701 [4 per cell]
O 0.2503 0.0624 0.0224 [4 per cell]
O 0.4233 0.5261 0.7087 [4 per cell]
O 0.4404 0.7089 0.8667 [4 per cell]
O 0.4446 0.1968 0.8886 [4 per cell]

Results
Total magnetization (μB/f.u.): 0.00
Energy of formation (eV per atom): -1.99


No. 3
DFT (PBE) results for a geometry-optimized MgSnAsO5 structure.

Cell: 6.3706 9.0021 9.0861 Å, 69.57 89.93 89.86°
Space group P1 (No. 1)
Symmetry-distinct sites (fractional):
Mg 0.0000 0.0000 0.0000 [1 per cell]
Mg 0.0060 0.4263 0.1210 [1 per cell]
Mg 0.4983 0.0531 0.5621 [1 per cell]
Mg 0.5071 0.6200 0.4332 [1 per cell]
Sn 0.2480 0.0241 0.2821 [1 per cell]
Sn 0.2567 0.5235 0.7775 [1 per cell]
Sn 0.7476 0.0249 0.2805 [1 per cell]
Sn 0.7567 0.5216 0.7770 [1 per cell]
As 0.0090 0.4143 0.4895 [1 per cell]
As 0.4978 0.1365 0.9079 [1 per cell]
As 0.5071 0.6314 0.0639 [1 per cell]
As 0.9976 0.9097 0.6539 [1 per cell]
O 0.0038 0.7056 0.7190 [1 per cell]
O 0.0075 0.3812 0.8635 [1 per cell]
O 0.0108 0.5124 0.2914 [1 per cell]
O 0.2149 0.9729 0.5350 [1 per cell]
O 0.2339 0.5177 0.5520 [1 per cell]
O 0.2804 0.5270 0.0037 [1 per cell]
O 0.2806 0.0823 0.0279 [1 per cell]
O 0.4890 0.0533 0.7706 [1 per cell]
O 0.4972 0.1530 0.3224 [1 per cell]
O 0.4989 0.8616 0.3222 [1 per cell]
O 0.5049 0.3404 0.8328 [1 per cell]
O 0.5070 0.6636 0.6910 [1 per cell]
O 0.5110 0.5350 0.2623 [1 per cell]
O 0.7156 0.0788 0.0267 [1 per cell]
O 0.7327 0.5267 0.0027 [1 per cell]
O 0.7810 0.5167 0.5513 [1 per cell]
O 0.7806 0.9704 0.5340 [1 per cell]
O 0.9882 0.9841 0.7974 [1 per cell]
O 0.9980 0.1874 0.2354 [1 per cell]
O 0.9985 0.8960 0.2412 [1 per cell]

Results
Total magnetization (μB/f.u.): 0.00
Energy of formation (eV per atom): -2.11


No. 4
DFT (PBE) results for a geometry-optimized MgTiAsO5 structure.

Cell: 6.1262 8.1084 8.5897 Å, 90.00 90.00 90.00°
Space group P2_12_12_1 (No. 19)
Symmetry-distinct sites (fractional):
Mg 0.1061 0.1521 0.3257 [4 per cell]
Ti 0.2313 0.7514 0.4943 [4 per cell]
As 0.0258 0.0995 0.6774 [4 per cell]
O 0.0016 0.6473 0.3913 [4 per cell]
O 0.0190 0.4150 0.9259 [4 per cell]
O 0.1112 0.2390 0.5422 [4 per cell]
O 0.2113 0.6610 0.7292 [4 per cell]
O 0.2241 0.0683 0.8217 [4 per cell]

Results
Total magnetization (μB/f.u.): 1.00
Energy of formation (eV per atom): -2.50


No. 5
DFT (PBE) results for a geometry-optimized Mg3Ti3As4O16 structure.

Cell: 8.1402 5.0272 16.5186 Å, 90.00 105.13 90.00°
Space group P2_1/c (No. 14)
Symmetry-distinct sites (fractional):
Mg 0.0000 0.0000 0.0000 [2 per cell]
Mg 0.3610 0.0903 0.2919 [4 per cell]
Ti 0.2280 0.5686 0.3778 [4 per cell]
Ti 0.5000 0.0000 0.5000 [2 per cell]
As 0.0589 0.0022 0.6585 [4 per cell]
As 0.3949 0.0129 0.1048 [4 per cell]
O 0.0047 0.1835 0.8804 [4 per cell]
O 0.1229 0.6134 0.8138 [4 per cell]
O 0.1291 0.1826 0.5862 [4 per cell]
O 0.2102 0.0695 0.7529 [4 per cell]
O 0.2121 0.6922 0.4754 [4 per cell]
O 0.4081 0.2071 0.9146 [4 per cell]
O 0.4281 0.6276 0.7044 [4 per cell]
O 0.4445 0.7099 0.8817 [4 per cell]

Results
Total magnetization (μB/f.u.): 2.00
Energy of formation (eV per atom): -2.39


No. 6
DFT (PBE) results for a geometry-optimized MgTiAs2O7 structure.

Cell: 8.3614 8.5664 10.8939 Å, 90.00 124.74 90.00°
Space group P2_1/c (No. 14)
Symmetry-distinct sites (fractional):
Mg 0.1703 0.1173 0.1224 [4 per cell]
Ti 0.3460 0.0274 0.7130 [4 per cell]
As 0.0617 0.7264 0.7350 [4 per cell]
As 0.4906 0.6962 0.0345 [4 per cell]
O 0.0294 0.5886 0.6081 [4 per cell]
O 0.1404 0.2327 0.2711 [4 per cell]
O 0.1742 0.6124 0.2222 [4 per cell]
O 0.2197 0.6531 0.9176 [4 per cell]
O 0.2461 0.1746 0.5847 [4 per cell]
O 0.4678 0.0794 0.3080 [4 per cell]
O 0.4762 0.6171 0.6033 [4 per cell]

Results
Total magnetization (μB/f.u.): 0.00
Energy of formation (eV per atom): -2.40